The following is a GGA+U calculation of crystalline LiCoCO4 at its relaxed geometry, from the Materials Project.

Cell lengths 6.586, 5.266, 10.612 Å; angles 90.00, 98.25, 90.00 degrees
Sites, in units of the cell vectors:
Li: 0.117 0.155 0.294
Li: 0.117 0.345 0.794
Li: 0.883 0.655 0.206
Li: 0.883 0.845 0.706
Co: 0.490 0.648 0.654
Co: 0.490 0.852 0.154
Co: 0.510 0.148 0.846
Co: 0.510 0.352 0.346
C: 0.205 0.682 0.426
C: 0.205 0.818 0.926
C: 0.795 0.182 0.074
C: 0.795 0.318 0.574
O: 0.080 0.704 0.844
O: 0.080 0.796 0.344
O: 0.256 0.058 0.911
O: 0.256 0.442 0.411
O: 0.289 0.703 0.030
O: 0.289 0.797 0.530
O: 0.387 0.131 0.230
O: 0.387 0.369 0.730
O: 0.613 0.631 0.270
O: 0.613 0.869 0.770
O: 0.711 0.203 0.470
O: 0.711 0.297 0.970
O: 0.744 0.558 0.589
O: 0.744 0.942 0.089
O: 0.920 0.204 0.656
O: 0.920 0.296 0.156

Computed properties:
Final energy: -6.503 eV/atom
Spin magnetization: 16.0 μB/cell